# UCo2P2, optimized geometry, DFT PBE
# ΔE_f	0.02	eV/atom
# E_tot	-72.44	eV for the cell shown
# total moment	1.11	μB/f.u.
data_UCo2P2
_cell_length_a 4.211
_cell_length_b 4.211
_cell_length_c 8.303
_cell_angle_alpha 90.00
_cell_angle_beta 90.00
_cell_angle_gamma 90.00
_space_group_name_H-M_alt 'P 1'
_space_group_IT_number 1
_space_group_name_Hall 'P 1'
loop_
_atom_site_label
_atom_site_type_symbol
_atom_site_fract_x
_atom_site_fract_y
_atom_site_fract_z
U1 U 0.250 0.250 0.218
U2 U 0.750 0.750 0.782
Co1 Co 0.250 0.250 0.849
Co2 Co 0.250 0.750 0.000
Co3 Co 0.750 0.250 0.000
Co4 Co 0.750 0.750 0.151
P1 P 0.250 0.250 0.600
P2 P 0.250 0.750 0.500
P3 P 0.750 0.250 0.500
P4 P 0.750 0.750 0.400